1.
Entry from the Materials Project database: a geometry-optimized Li9Mn2Co5O16 structure (PBE+U).

## Properties
Magnetization, μB per formula unit: 10.0
Crystal system: monoclinic
E, eV per atom: -5.809
Space group: P2 (3)
Energy above the lowest structure with this stoichiometry, meV per atom: 45
ΔH_f (0 K), eV per atom: -1.819

extended XYZ file:
```
32
Lattice="-6.0320 -8.0964 5.8561 -1.4325 -2.1103 -4.3932 3.4213 -3.5661 -1.4062" Properties=species:S:1:pos:R:3 pbc="T T T"
O -1.4900 -8.4141 -1.3360
O -5.6134 -9.4827 1.4175
O -4.4130 -12.4348 1.4363
O -2.5965 -5.5066 -1.3529
O -0.9759 -3.3263 -3.0034
O -2.9194 -10.3110 0.1146
O -2.6570 -5.4981 1.4936
O -4.1742 -7.4544 0.0754
O -1.4505 -8.4411 1.5167
O 0.0522 -6.2554 -2.8007
O -0.0482 -6.3890 0.0519
O -2.9303 -10.3308 3.0086
O -5.6159 -9.3722 4.4315
O -4.1035 -7.4612 2.8350
O 1.6161 -4.1603 -1.4866
O -1.0681 -3.4540 -0.0816
Li -2.0423 -6.8204 2.9404
Li -0.5162 -4.8658 -1.4331
Li -1.5054 -2.0206 1.4615
Li 0.9003 -2.8707 0.0836
Li -3.5674 -8.8675 4.4211
Li 0.9688 -2.8725 -2.8748
Li -0.5113 -4.7654 1.4541
Li -1.9837 -6.8355 -0.0084
Li -3.5365 -8.9197 1.4991
Mn -0.0123 -0.0165 0.0119
Mn -4.4948 -6.1268 1.4718
Co -2.9578 -3.9701 2.8716
Co -5.9914 -8.1356 2.9247
Co -4.5323 -6.0834 4.4001
Co -2.9546 -4.0596 -0.0235
Co -1.5222 -2.1370 -1.4141
```

***

2.
Entry from the Materials Project database: a geometry-optimized ZnFe2O4 structure (PBE+U).

## Properties
Magnetization, μB per formula unit: 10.0
Crystal system: trigonal
E, eV per atom: -6.071
Space group: R3m (160)
Energy above the lowest structure with this stoichiometry, meV per atom: 64
ΔH_f (0 K), eV per atom: -1.681

extended XYZ file:
```
14
Lattice="-0.5652 -0.5815 5.9912 -5.2669 -1.7864 2.3706 -0.4855 -5.5008 2.4612" Properties=species:S:1:pos:R:3 pbc="T T T"
O -3.9123 -4.8728 6.7023
O -3.2683 -1.8455 2.4980
O -3.6666 -4.6253 3.8824
O -3.7046 -2.2759 5.5683
O -1.0394 -3.5769 2.5402
O -1.0766 -1.2838 4.1857
O -1.4211 -4.0498 5.6116
O -0.8440 -1.0512 1.4458
Zn -2.3655 -2.9462 4.0524
Zn -6.2982 -7.8445 10.7896
Fe -2.6061 -5.7320 5.2919
Fe -5.0340 -3.8460 5.2459
Fe -2.6466 -3.2341 7.0844
Fe -4.7610 -5.9298 8.1561
```

***

3.
Entry from the Materials Project database: a geometry-optimized La4FeSe6O structure (PBE+U).

## Properties
Magnetization, μB per formula unit: 4.0
Crystal system: triclinic
E, eV per atom: -6.264
Space group: P1 (1)
ΔH_f (0 K), eV per atom: -1.998

extended XYZ file:
```
24
Lattice="9.8332 -0.0121 0.0186 -4.9264 8.4885 -0.0377 0.0141 -0.0236 7.1174" Properties=species:S:1:pos:R:3 pbc="T T T"
Se 1.8338 1.0211 5.4376
Se 4.9201 6.3407 5.4383
Se 2.0195 4.4660 6.7169
Se -0.0044 2.0999 1.8448
Se -3.0888 7.4375 1.8832
Se 6.9366 3.9749 3.1651
Se 0.0015 7.9505 6.7027
Se -2.0077 4.4710 6.7108
Se 4.9193 0.4925 3.1720
Se 8.0095 1.0179 5.4279
Se 3.0792 7.4357 1.8614
Se 2.9062 3.9711 3.1656
La 4.9318 2.8157 5.0327
La 4.9148 5.0959 1.1381
La 0.0050 3.3578 4.6755
La 1.9726 6.7574 4.6855
La -0.0045 5.6506 1.4571
La 6.8747 1.6880 1.1344
La 2.9475 1.6841 1.1327
La -1.9650 6.7605 4.6800
O 0.0047 5.6325 3.8484
O 4.9117 2.8254 0.3068
Fe 0.0017 0.0275 3.5530
Fe -4.8932 8.4545 7.0780
```

***

4.
Entry from the Materials Project database: a geometry-optimized Mg14NbVO16 structure (PBE+U).

## Properties
Magnetization, μB per formula unit: 4.8
Crystal system: tetragonal
E, eV per atom: -6.214
Space group: P4/mmm (123)
Energy above the lowest structure with this stoichiometry, meV per atom: 0
ΔH_f (0 K), eV per atom: -2.837

extended XYZ file:
```
32
Lattice="8.6230 0.0000 0.0000 0.0000 8.6230 0.0000 0.0000 0.0000 4.2953" Properties=species:S:1:pos:R:3 pbc="T T T"
O 0.0000 6.4370 0.0000
O 0.0000 0.0000 2.1476
O 4.3115 2.0534 0.0000
O 0.0000 2.1860 0.0000
O 2.1860 0.0000 0.0000
O 2.1582 6.4649 2.1476
O 4.3115 0.0000 2.1476
O 6.4370 0.0000 0.0000
O 6.4649 6.4649 2.1476
O 6.4649 2.1582 2.1476
O 4.3115 4.3115 2.1476
O 2.0534 4.3115 0.0000
O 0.0000 4.3115 2.1476
O 6.5696 4.3115 0.0000
O 4.3115 6.5696 0.0000
O 2.1582 2.1582 2.1476
Mg 6.4806 6.4806 0.0000
Mg 0.0000 2.1596 2.1476
Mg 2.1424 2.1424 0.0000
Mg 6.4634 0.0000 2.1476
Mg 6.4806 2.1424 0.0000
Mg 0.0000 6.4634 2.1476
Mg 2.1424 6.4806 0.0000
Mg 2.1166 4.3115 2.1476
Mg 6.5064 4.3115 2.1476
Mg 4.3115 0.0000 0.0000
Mg 0.0000 4.3115 0.0000
Mg 2.1596 0.0000 2.1476
Mg 4.3115 2.1166 2.1476
Mg 4.3115 6.5064 2.1476
Nb 4.3115 4.3115 0.0000
V 0.0000 0.0000 0.0000
```

***

5.
Entry from the Materials Project database: a geometry-optimized Sr3MgFe2O6 structure (PBE+U).

## Properties
Magnetization, μB per formula unit: 8.0
Crystal system: tetragonal
E, eV per atom: -5.726
Space group: I4/mmm (139)
Energy above the lowest structure with this stoichiometry, meV per atom: 383
ΔH_f (0 K), eV per atom: -2.004

extended XYZ file:
```
12
Lattice="3.9989 0.0000 -0.7620 -0.1452 3.9962 -0.7620 -0.0129 -0.0133 10.8060" Properties=species:S:1:pos:R:3 pbc="T T T"
O 0.7880 0.8172 4.1354
O 2.2778 0.2886 1.0795
O 1.5630 3.6943 8.2024
O 3.6351 1.6962 8.2024
O 0.2057 2.2867 1.0795
O 3.0528 3.1657 5.1466
Sr 1.2276 1.2730 6.4421
Sr 1.9268 1.9981 -0.7620
Sr 2.6132 2.7099 2.8399
Fe 3.3954 3.5210 6.9446
Fe 0.4454 0.4619 2.3373
Mg 0.0000 0.0000 0.0000
```

***

6.
Entry from the Materials Project database: a geometry-optimized MgV2O4 structure (PBE+U).

## Properties
Magnetization, μB per formula unit: 4.0
Crystal system: orthorhombic
E, eV per atom: -7.379
Space group: Pnma (62)
Energy above the lowest structure with this stoichiometry, meV per atom: 100
ΔH_f (0 K), eV per atom: -2.606

extended XYZ file:
```
28
Lattice="-2.7065 0.8388 0.8713 -3.6792 -6.9051 -4.7815 0.7792 -6.2727 8.4591" Properties=species:S:1:pos:R:3 pbc="T T T"
V -1.8809 -5.1217 1.6094
V -3.6384 -10.1291 0.9704
V -1.5931 -8.3329 5.5948
V -1.9681 -2.2100 3.5785
V -3.9497 -6.7294 -3.2692
V -4.0134 -4.0063 -1.0459
V -1.6568 -5.6097 7.8180
V -3.7256 -7.2174 2.9394
O -3.6908 -8.7475 -0.5223
O -0.1817 -4.9282 6.7012
O -2.9906 -5.3082 3.3846
O -3.5317 -4.3887 0.8187
O -3.1323 -5.8270 -1.5990
O -2.0748 -7.9504 3.7301
O -2.6159 -7.0309 1.1642
O -4.4944 -11.4649 4.6404
O -4.4157 -9.1442 2.6506
O -3.4800 -9.2604 5.6691
O -1.9157 -3.5916 5.0711
O -2.4742 -6.5121 6.1478
O -1.1121 -0.8742 -0.0916
O -2.1265 -3.0787 -1.1203
O -5.4248 -7.4109 -2.1524
O -1.1908 -3.1949 1.8983
Mg -4.4998 -6.7045 0.0409
Mg -2.8141 -2.0124 0.7601
Mg -2.7924 -10.3267 3.7887
Mg -1.1067 -5.6346 4.5079
```

***

Per-record density, Mg/m³: 4.19; 5.11; 6.16; 3.85; 4.76; 4.40